Record 1
The following is a DFT calculation (GGA-PBE) of an optimized crystal structure of PmMgSe3.

a b c (Å): 8.5528 12.0596 8.0389
angles (deg): 90.00 138.04 90.00
Sites, in units of the cell vectors:
Pm (0.9287, 0.0000, 0.1559)
Pm (0.0713, 0.0000, 0.8441)
Pm (0.4287, 0.5000, 0.1559)
Pm (0.5713, 0.5000, 0.8441)
Mg (0.0000, 0.3265, 0.0000)
Mg (0.0000, 0.6735, 0.0000)
Mg (0.5000, 0.8265, 0.0000)
Mg (0.5000, 0.1735, 0.0000)
Se (0.2631, 0.1562, 0.2518)
Se (0.7369, 0.8438, 0.7482)
Se (0.7369, 0.1562, 0.7482)
Se (0.2631, 0.8438, 0.2518)
Se (0.7631, 0.6562, 0.2518)
Se (0.2369, 0.3438, 0.7482)
Se (0.2369, 0.6562, 0.7482)
Se (0.7631, 0.3438, 0.2518)
Se (0.3143, 0.0000, 0.6961)
Se (0.6857, 0.0000, 0.3039)
Se (0.8143, 0.5000, 0.6961)
Se (0.1857, 0.5000, 0.3039)

Total magnetic moment (μB/f.u.): 0.0
Final energy (eV per cell): -90.1
Calculated formation energy (eV/atom): -1.42
ρ (Mg/m³): 4.87


Record 2
The following is a DFT calculation (GGA-PBE) of an optimized crystal structure of PmMgSe3.

a b c (Å): 7.3617 7.3617 6.8384
angles (deg): 103.67 103.67 116.41
Sites, in units of the cell vectors:
Pm (0.1964, 0.1964, 0.3093)
Pm (0.8036, 0.8036, 0.6907)
Mg (0.3329, 0.6671, 0.0000)
Mg (0.6671, 0.3329, 0.0000)
Se (0.1097, 0.7669, 0.2161)
Se (0.2331, 0.8903, 0.7839)
Se (0.4676, 0.4676, 0.7470)
Se (0.5324, 0.5324, 0.2530)
Se (0.7669, 0.1097, 0.2161)
Se (0.8903, 0.2331, 0.7839)

Total magnetic moment (μB/f.u.): 0.0
SG: C2/m
Final energy (eV per cell): -44.7
Calculated formation energy (eV/atom): -1.39
ρ (Mg/m³): 4.55


Record 3
The following is a DFT calculation (GGA-PBE) of an optimized crystal structure of Pm2MgSi.

a b c (Å): 5.2122 5.2122 5.2122
angles (deg): 60.00 60.00 60.00
Sites, in units of the cell vectors:
Pm (0.2500, 0.2500, 0.2500)
Pm (0.7500, 0.7500, 0.7500)
Mg (0.0000, 0.0000, 0.0000)
Si (0.5000, 0.5000, 0.5000)

SG: Fm-3m
Final energy (eV per cell): -17.7
Calculated formation energy (eV/atom): -0.27
ρ (Mg/m³): 5.68


Record 4
The following is a DFT calculation (GGA-PBE) of an optimized crystal structure of PmSmMg2.

a b c (Å): 5.4534 5.4534 5.4534
angles (deg): 60.00 60.00 60.00
Sites, in units of the cell vectors:
Pm (0.0000, 0.0000, 0.0000)
Sm (0.5000, 0.5000, 0.5000)
Mg (0.2500, 0.2500, 0.2500)
Mg (0.7500, 0.7500, 0.7500)

SG: Fm-3m
Final energy (eV per cell): -13.1
Calculated formation energy (eV/atom): -0.10
ρ (Mg/m³): 4.98


Record 5
The following is a DFT calculation (GGA-PBE) of an optimized crystal structure of Pm2MgSn.

a b c (Å): 5.4177 5.4177 5.4177
angles (deg): 60.00 60.00 60.00
Sites, in units of the cell vectors:
Pm (0.2500, 0.2500, 0.2500)
Pm (0.7500, 0.7500, 0.7500)
Mg (0.0000, 0.0000, 0.0000)
Sn (0.5000, 0.5000, 0.5000)

SG: Fm-3m
Final energy (eV per cell): -16.9
Calculated formation energy (eV/atom): -0.44
ρ (Mg/m³): 6.39


Record 6
The following is a DFT calculation (GGA-PBE) of an optimized crystal structure of PmMgTl2.

a b c (Å): 5.3449 5.3449 5.3449
angles (deg): 60.00 60.00 60.00
Sites, in units of the cell vectors:
Pm (0.0000, 0.0000, 0.0000)
Mg (0.5000, 0.5000, 0.5000)
Tl (0.2500, 0.2500, 0.2500)
Tl (0.7500, 0.7500, 0.7500)

SG: Fm-3m
Final energy (eV per cell): -12.1
Calculated formation energy (eV/atom): -0.25
ρ (Mg/m³): 8.89


Record 7
The following is a DFT calculation (GGA-PBE) of an optimized crystal structure of PmYMg2.

a b c (Å): 5.4198 5.4198 5.4198
angles (deg): 60.00 60.00 60.00
Sites, in units of the cell vectors:
Pm (0.0000, 0.0000, 0.0000)
Y (0.5000, 0.5000, 0.5000)
Mg (0.2500, 0.2500, 0.2500)
Mg (0.7500, 0.7500, 0.7500)

SG: Fm-3m
Final energy (eV per cell): -14.9
Calculated formation energy (eV/atom): -0.11
ρ (Mg/m³): 4.17


Record 8
The following is a DFT calculation (GGA-PBE) of an optimized crystal structure of PmMgZn2.

a b c (Å): 4.9271 4.9271 4.9271
angles (deg): 60.00 60.00 60.00
Sites, in units of the cell vectors:
Pm (0.0000, 0.0000, 0.0000)
Mg (0.5000, 0.5000, 0.5000)
Zn (0.2500, 0.2500, 0.2500)
Zn (0.7500, 0.7500, 0.7500)

SG: Fm-3m
Final energy (eV per cell): -10.3
Calculated formation energy (eV/atom): -0.35
ρ (Mg/m³): 5.89


Record 9
The following is a DFT calculation (GGA-PBE) of an optimized crystal structure of Pr2Mg.

a b c (Å): 7.1662 7.1662 7.6480
angles (deg): 105.31 105.31 30.82
Sites, in units of the cell vectors:
Pr (0.1519, 0.1519, 0.0703)
Pr (0.1625, 0.1625, 0.5857)
Pr (0.8375, 0.8375, 0.4143)
Pr (0.8481, 0.8481, 0.9297)
Mg (0.4970, 0.4970, 0.7363)
Mg (0.5030, 0.5030, 0.2637)

SG: C2/m
Final energy (eV per cell): -22.6
Calculated formation energy (eV/atom): -0.05
ρ (Mg/m³): 5.25


Record 10
The following is a DFT calculation (GGA-PBE) of an optimized crystal structure of PrMg3.

a b c (Å): 5.2654 5.2654 5.2654
angles (deg): 60.00 60.00 60.00
Sites, in units of the cell vectors:
Pr (0.0000, 0.0000, 0.0000)
Mg (0.2500, 0.2500, 0.2500)
Mg (0.5000, 0.5000, 0.5000)
Mg (0.7500, 0.7500, 0.7500)

SG: Fm-3m
Final energy (eV per cell): -10.1
Calculated formation energy (eV/atom): -0.13
ρ (Mg/m³): 3.44


Record 11
The following is a DFT calculation (GGA-PBE) of an optimized crystal structure of Pr4Mg.

a b c (Å): 8.1856 8.1856 8.1856
angles (deg): 60.00 60.00 60.00
Sites, in units of the cell vectors:
Pr (0.1878, 0.7707, 0.7707)
Pr (0.2293, 0.2293, 0.2293)
Pr (0.2293, 0.2293, 0.8122)
Pr (0.2293, 0.8122, 0.2293)
Pr (0.7707, 0.1878, 0.7707)
Pr (0.7707, 0.7707, 0.1878)
Pr (0.7707, 0.7707, 0.7707)
Pr (0.8122, 0.2293, 0.2293)
Mg (0.3750, 0.3750, 0.3750)
Mg (0.6250, 0.6250, 0.6250)

Total magnetic moment (μB/f.u.): 0.5
SG: Fd-3m
Final energy (eV per cell): -35.8
Calculated formation energy (eV/atom): 0.57
ρ (Mg/m³): 5.03


Record 12
The following is a DFT calculation (GGA-PBE) of an optimized crystal structure of PrMg2.

a b c (Å): 6.1634 6.1634 6.1634
angles (deg): 60.00 60.00 60.00
Sites, in units of the cell vectors:
Pr (0.1250, 0.1250, 0.1250)
Pr (0.8750, 0.8750, 0.8750)
Mg (0.0000, 0.5000, 0.5000)
Mg (0.5000, 0.0000, 0.5000)
Mg (0.5000, 0.5000, 0.0000)
Mg (0.5000, 0.5000, 0.5000)

SG: Fd-3m
Final energy (eV per cell): -16.6
Calculated formation energy (eV/atom): -0.11
ρ (Mg/m³): 3.80